{
  "formula": "Ta2CrO6",
  "functional": "PBE+U",
  "state": "relaxed",
  "cell": [[-3.818, 2.984, -0.221], [-3.899, -4.419, 7.706], [4.316, 5.935, 5.586]],
  "species": ["Ta", "Ta", "Ta", "Ta", "Ta", "Ta", "Ta", "Ta", "Cr", "Cr", "Cr", "Cr", "O", "O", "O", "O", "O", "O", "O", "O", "O", "O", "O", "O", "O", "O", "O", "O", "O", "O", "O", "O", "O", "O", "O", "O"],
  "frac_coords": [[0.500, 0.250, 0.168], [0.500, 0.750, 0.168], [0.000, 0.000, 0.667], [0.000, 0.500, 0.667], [0.500, 0.250, 0.832], [0.500, 0.750, 0.832], [0.000, 0.000, 0.333], [0.000, 0.500, 0.333], [0.500, 0.750, 0.500], [0.000, 0.500, 0.000], [0.500, 0.250, 0.500], [0.000, 0.000, 0.000], [0.316, 0.158, 0.000], [0.316, 0.658, 0.000], [0.184, 0.408, 0.500], [0.184, 0.908, 0.500], [0.816, 0.092, 0.500], [0.816, 0.592, 0.500], [0.684, 0.342, 0.000], [0.684, 0.842, 0.000], [0.296, 0.148, 0.324], [0.296, 0.648, 0.324], [0.204, 0.398, 0.824], [0.204, 0.898, 0.824], [0.796, 0.102, 0.824], [0.796, 0.602, 0.824], [0.796, 0.102, 0.176], [0.796, 0.602, 0.176], [0.204, 0.398, 0.176], [0.204, 0.898, 0.176], [0.704, 0.352, 0.324], [0.704, 0.852, 0.324], [0.296, 0.148, 0.676], [0.296, 0.648, 0.676], [0.704, 0.352, 0.676], [0.704, 0.852, 0.676]]
}

{
  "formula": "Mn2P3O10",
  "functional": "PBE+U",
  "state": "relaxed",
  "cell": [[4.745, 0.000, 0.000], [0.000, 8.694, 0.000], [-1.511, 0.000, 8.986]],
  "species": ["Mn", "Mn", "Mn", "Mn", "P", "P", "P", "P", "P", "P", "O", "O", "O", "O", "O", "O", "O", "O", "O", "O", "O", "O", "O", "O", "O", "O", "O", "O", "O", "O"],
  "frac_coords": [[0.043, 0.062, 0.325], [0.043, 0.438, 0.325], [0.957, 0.562, 0.675], [0.957, 0.938, 0.675], [0.337, 0.250, 0.819], [0.395, 0.750, 0.457], [0.473, 0.250, 0.145], [0.527, 0.750, 0.855], [0.605, 0.250, 0.543], [0.663, 0.750, 0.181], [0.172, 0.102, 0.799], [0.172, 0.398, 0.799], [0.212, 0.750, 0.762], [0.229, 0.602, 0.482], [0.229, 0.898, 0.482], [0.301, 0.250, 0.450], [0.321, 0.102, 0.171], [0.321, 0.398, 0.171], [0.418, 0.750, 0.284], [0.459, 0.750, 0.023], [0.541, 0.250, 0.977], [0.582, 0.250, 0.716], [0.679, 0.602, 0.829], [0.679, 0.898, 0.829], [0.699, 0.750, 0.550], [0.771, 0.102, 0.518], [0.771, 0.398, 0.518], [0.788, 0.250, 0.238], [0.828, 0.602, 0.201], [0.828, 0.898, 0.201]]
}

{
  "formula": "K2NiP4H8O16",
  "functional": "PBE+U",
  "state": "relaxed",
  "cell": [[4.318, 6.302, 4.232], [-5.737, 2.900, -7.259], [-8.149, -3.237, 6.075]],
  "species": ["K", "K", "K", "K", "Ni", "Ni", "P", "P", "P", "P", "P", "P", "P", "P", "H", "H", "H", "H", "H", "H", "H", "H", "H", "H", "H", "H", "H", "H", "H", "H", "O", "O", "O", "O", "O", "O", "O", "O", "O", "O", "O", "O", "O", "O", "O", "O", "O", "O", "O", "O", "O", "O", "O", "O", "O", "O", "O", "O", "O", "O", "O", "O"],
  "frac_coords": [[0.297, 0.838, 0.575], [0.298, 0.338, 0.075], [0.703, 0.662, 0.925], [0.702, 0.162, 0.425], [0.500, 0.750, 0.250], [0.500, 0.250, 0.750], [0.243, 0.149, 0.419], [0.243, 0.649, 0.919], [0.757, 0.351, 0.081], [0.757, 0.851, 0.581], [0.757, 0.101, 0.910], [0.757, 0.601, 0.410], [0.243, 0.399, 0.590], [0.243, 0.899, 0.090], [0.076, 0.930, 0.199], [0.076, 0.430, 0.699], [0.924, 0.570, 0.301], [0.924, 0.070, 0.801], [0.473, 0.339, 0.384], [0.473, 0.839, 0.884], [0.527, 0.161, 0.116], [0.527, 0.661, 0.616], [0.708, 0.454, 0.640], [0.708, 0.954, 0.140], [0.292, 0.046, 0.860], [0.292, 0.546, 0.360], [0.852, 0.452, 0.774], [0.852, 0.951, 0.274], [0.148, 0.048, 0.726], [0.148, 0.548, 0.226], [0.081, 0.991, 0.330], [0.081, 0.491, 0.830], [0.919, 0.509, 0.170], [0.919, 0.009, 0.670], [0.338, 0.246, 0.327], [0.338, 0.746, 0.827], [0.662, 0.254, 0.173], [0.662, 0.754, 0.673], [0.938, 0.114, 0.899], [0.938, 0.614, 0.399], [0.062, 0.386, 0.601], [0.062, 0.886, 0.101], [0.666, 0.458, 0.466], [0.666, 0.958, 0.966], [0.334, 0.042, 0.034], [0.334, 0.542, 0.534], [0.388, 0.145, 0.542], [0.388, 0.645, 0.042], [0.612, 0.355, 0.958], [0.612, 0.855, 0.458], [0.629, 0.110, 0.780], [0.629, 0.610, 0.280], [0.371, 0.390, 0.720], [0.371, 0.889, 0.220], [0.149, 0.241, 0.470], [0.149, 0.741, 0.970], [0.851, 0.259, 0.030], [0.851, 0.759, 0.530], [0.273, 0.059, 0.766], [0.273, 0.559, 0.266], [0.727, 0.441, 0.734], [0.727, 0.941, 0.234]]
}

{
  "formula": "LiMn7O9F3",
  "functional": "PBE+U",
  "state": "relaxed",
  "cell": [[4.348, 2.510, 3.411], [-4.348, 2.510, 3.411], [0.000, -5.021, 3.411]],
  "species": ["Li", "Mn", "Mn", "Mn", "Mn", "Mn", "Mn", "Mn", "O", "O", "O", "O", "O", "O", "O", "O", "O", "F", "F", "F"],
  "frac_coords": [[0.000, 0.000, 0.000], [0.026, 0.235, 0.551], [0.235, 0.551, 0.026], [0.415, 0.896, 0.721], [0.460, 0.460, 0.460], [0.551, 0.026, 0.235], [0.721, 0.415, 0.896], [0.896, 0.721, 0.415], [0.050, 0.319, 0.876], [0.165, 0.526, 0.351], [0.319, 0.876, 0.050], [0.351, 0.165, 0.526], [0.437, 0.563, 0.776], [0.526, 0.351, 0.165], [0.563, 0.776, 0.437], [0.776, 0.437, 0.563], [0.876, 0.050, 0.319], [0.059, 0.875, 0.689], [0.689, 0.059, 0.875], [0.875, 0.689, 0.059]]
}

{
  "formula": "SrCr2O4",
  "functional": "PBE+U",
  "state": "relaxed",
  "cell": [[6.032, 0.000, 0.000], [0.000, 11.749, 0.000], [0.000, 0.000, 5.187]],
  "species": ["Sr", "Sr", "Sr", "Sr", "Cr", "Cr", "Cr", "Cr", "Cr", "Cr", "Cr", "Cr", "O", "O", "O", "O", "O", "O", "O", "O", "O", "O", "O", "O", "O", "O", "O", "O"],
  "frac_coords": [[0.250, 0.250, 0.044], [0.250, 0.750, 0.359], [0.750, 0.250, 0.641], [0.750, 0.750, 0.956], [0.000, 0.000, 0.500], [0.000, 0.500, 0.500], [0.250, 0.507, 0.995], [0.250, 0.993, 0.995], [0.500, 0.000, 0.500], [0.500, 0.500, 0.500], [0.750, 0.007, 0.005], [0.750, 0.493, 0.005], [0.003, 0.095, 0.836], [0.003, 0.405, 0.836], [0.250, 0.085, 0.328], [0.250, 0.415, 0.328], [0.250, 0.592, 0.662], [0.250, 0.908, 0.662], [0.497, 0.095, 0.836], [0.497, 0.405, 0.836], [0.503, 0.595, 0.164], [0.503, 0.905, 0.164], [0.750, 0.092, 0.338], [0.750, 0.408, 0.338], [0.750, 0.585, 0.672], [0.750, 0.915, 0.672], [0.997, 0.595, 0.164], [0.997, 0.905, 0.164]]
}

{
  "formula": "Sr18Co14O45",
  "functional": "PBE+U",
  "state": "relaxed",
  "cell": [[8.872, -4.788, 0.000], [8.872, 4.788, 0.000], [-0.589, 0.000, 11.848]],
  "species": ["Sr", "Sr", "Sr", "Sr", "Sr", "Sr", "Sr", "Sr", "Sr", "Sr", "Sr", "Sr", "Sr", "Sr", "Sr", "Sr", "Sr", "Sr", "Co", "Co", "Co", "Co", "Co", "Co", "Co", "Co", "Co", "Co", "Co", "Co", "Co", "Co", "O", "O", "O", "O", "O", "O", "O", "O", "O", "O", "O", "O", "O", "O", "O", "O", "O", "O", "O", "O", "O", "O", "O", "O", "O", "O", "O", "O", "O", "O", "O", "O", "O", "O", "O", "O", "O", "O", "O", "O", "O", "O", "O", "O", "O"],
  "frac_coords": [[0.000, 0.000, 0.000], [0.076, 0.132, 0.426], [0.092, 0.468, 0.620], [0.194, 0.255, 0.910], [0.205, 0.568, 0.048], [0.335, 0.665, 0.500], [0.350, 0.323, 0.328], [0.424, 0.462, 0.770], [0.432, 0.795, 0.952], [0.532, 0.908, 0.380], [0.538, 0.576, 0.230], [0.653, 0.009, 0.833], [0.677, 0.650, 0.672], [0.745, 0.806, 0.090], [0.758, 0.129, 0.286], [0.868, 0.924, 0.574], [0.871, 0.242, 0.714], [0.991, 0.347, 0.167], [0.053, 0.748, 0.801], [0.126, 0.816, 0.263], [0.184, 0.874, 0.737], [0.252, 0.947, 0.199], [0.320, 0.017, 0.668], [0.380, 0.079, 0.135], [0.452, 0.159, 0.595], [0.519, 0.210, 0.066], [0.590, 0.280, 0.532], [0.720, 0.410, 0.468], [0.790, 0.481, 0.934], [0.841, 0.548, 0.405], [0.921, 0.620, 0.865], [0.983, 0.680, 0.332], [0.031, 0.036, 0.222], [0.065, 0.456, 0.350], [0.129, 0.006, 0.609], [0.138, 0.531, 0.832], [0.163, 0.711, 0.664], [0.212, 0.025, 0.812], [0.217, 0.063, 0.066], [0.218, 0.609, 0.308], [0.227, 0.749, 0.875], [0.251, 0.773, 0.125], [0.264, 0.115, 0.269], [0.289, 0.295, 0.111], [0.289, 0.837, 0.336], [0.305, 0.110, 0.519], [0.309, 0.204, 0.726], [0.365, 0.381, 0.559], [0.391, 0.782, 0.692], [0.446, 0.322, 0.941], [0.469, 0.862, 0.168], [0.483, 0.044, 0.996], [0.516, 0.355, 0.158], [0.544, 0.935, 0.650], [0.551, 0.078, 0.201], [0.554, 0.397, 0.401], [0.592, 0.108, 0.457], [0.603, 0.446, 0.599], [0.619, 0.635, 0.441], [0.628, 0.178, 0.674], [0.645, 0.484, 0.842], [0.678, 0.554, 0.059], [0.705, 0.711, 0.889], [0.720, 0.092, 0.036], [0.796, 0.691, 0.274], [0.807, 0.193, 0.500], [0.822, 0.372, 0.326], [0.885, 0.736, 0.731], [0.890, 0.695, 0.481], [0.892, 0.408, 0.543], [0.908, 0.280, 0.964], [0.922, 0.449, 0.799], [0.937, 0.783, 0.934], [0.956, 0.517, 0.004], [0.964, 0.969, 0.778], [0.975, 0.788, 0.188], [0.994, 0.871, 0.391]]
}

{
  "formula": "CaFe12P8O48",
  "functional": "PBE+U",
  "state": "relaxed",
  "cell": [[13.079, -2.565, 0.000], [13.079, 2.565, 0.000], [-5.659, 0.000, 13.280]],
  "species": ["Ca", "Fe", "Fe", "Fe", "Fe", "Fe", "Fe", "Fe", "Fe", "Fe", "Fe", "Fe", "Fe", "P", "P", "P", "P", "P", "P", "P", "P", "O", "O", "O", "O", "O", "O", "O", "O", "O", "O", "O", "O", "O", "O", "O", "O", "O", "O", "O", "O", "O", "O", "O", "O", "O", "O", "O", "O", "O", "O", "O", "O", "O", "O", "O", "O", "O", "O", "O", "O", "O", "O", "O", "O", "O", "O", "O", "O"],
  "frac_coords": [[0.000, 0.000, 0.000], [0.015, 0.672, 0.150], [0.065, 0.218, 0.114], [0.128, 0.837, 0.231], [0.151, 0.352, 0.255], [0.163, 0.872, 0.769], [0.242, 0.488, 0.390], [0.313, 0.007, 0.356], [0.328, 0.985, 0.850], [0.512, 0.758, 0.610], [0.648, 0.849, 0.745], [0.782, 0.935, 0.886], [0.993, 0.687, 0.644], [0.099, 0.329, 0.573], [0.199, 0.368, 0.924], [0.344, 0.503, 0.851], [0.497, 0.656, 0.149], [0.632, 0.801, 0.076], [0.671, 0.901, 0.427], [0.788, 0.052, 0.344], [0.948, 0.212, 0.656], [0.016, 0.205, 0.947], [0.023, 0.839, 0.670], [0.067, 0.277, 0.463], [0.124, 0.423, 0.580], [0.126, 0.230, 0.260], [0.132, 0.689, 0.921], [0.161, 0.977, 0.330], [0.164, 0.016, 0.587], [0.184, 0.459, 0.242], [0.190, 0.259, 0.918], [0.192, 0.672, 0.596], [0.231, 0.423, 0.032], [0.233, 0.606, 0.200], [0.249, 0.514, 0.548], [0.304, 0.455, 0.744], [0.308, 0.656, 0.858], [0.311, 0.868, 0.079], [0.328, 0.808, 0.404], [0.344, 0.692, 0.142], [0.352, 0.069, 0.628], [0.366, 0.060, 0.130], [0.394, 0.767, 0.800], [0.444, 0.156, 0.866], [0.450, 0.152, 0.372], [0.486, 0.751, 0.452], [0.527, 0.323, 0.397], [0.541, 0.816, 0.758], [0.545, 0.696, 0.256], [0.577, 0.769, 0.968], [0.577, 0.876, 0.420], [0.628, 0.229, 0.897], [0.677, 0.473, 0.603], [0.723, 0.933, 0.537], [0.739, 0.005, 0.240], [0.741, 0.810, 0.082], [0.770, 0.874, 0.740], [0.771, 0.372, 0.103], [0.795, 0.984, 0.053], [0.844, 0.556, 0.134], [0.848, 0.550, 0.628], [0.857, 0.031, 0.100], [0.896, 0.056, 0.332], [0.931, 0.648, 0.372], [0.940, 0.634, 0.870], [0.944, 0.104, 0.668], [0.969, 0.143, 0.900], [0.984, 0.836, 0.413], [0.995, 0.261, 0.760]]
}

{
  "formula": "LaFe12O19",
  "functional": "PBE+U",
  "state": "relaxed",
  "cell": [[6.008, 0.000, 0.000], [-3.004, 5.203, 0.000], [0.000, 0.000, 23.084]],
  "species": ["La", "La", "Fe", "Fe", "Fe", "Fe", "Fe", "Fe", "Fe", "Fe", "Fe", "Fe", "Fe", "Fe", "Fe", "Fe", "Fe", "Fe", "Fe", "Fe", "Fe", "Fe", "Fe", "Fe", "Fe", "Fe", "O", "O", "O", "O", "O", "O", "O", "O", "O", "O", "O", "O", "O", "O", "O", "O", "O", "O", "O", "O", "O", "O", "O", "O", "O", "O", "O", "O", "O", "O", "O", "O", "O", "O", "O", "O", "O", "O"],
  "frac_coords": [[0.333, 0.667, 0.250], [0.667, 0.333, 0.750], [0.000, 0.000, 0.000], [0.000, 0.000, 0.250], [0.000, 0.000, 0.500], [0.000, 0.000, 0.750], [0.167, 0.335, 0.109], [0.167, 0.335, 0.391], [0.167, 0.833, 0.109], [0.167, 0.833, 0.391], [0.333, 0.667, 0.528], [0.333, 0.667, 0.690], [0.333, 0.667, 0.810], [0.333, 0.667, 0.972], [0.335, 0.167, 0.609], [0.335, 0.167, 0.891], [0.665, 0.833, 0.109], [0.665, 0.833, 0.391], [0.667, 0.333, 0.028], [0.667, 0.333, 0.190], [0.667, 0.333, 0.310], [0.667, 0.333, 0.472], [0.833, 0.167, 0.609], [0.833, 0.167, 0.891], [0.833, 0.665, 0.609], [0.833, 0.665, 0.891], [0.000, 0.000, 0.154], [0.000, 0.000, 0.346], [0.000, 0.000, 0.654], [0.000, 0.000, 0.846], [0.024, 0.512, 0.157], [0.024, 0.512, 0.343], [0.160, 0.320, 0.557], [0.160, 0.320, 0.943], [0.160, 0.840, 0.557], [0.160, 0.840, 0.943], [0.183, 0.365, 0.750], [0.183, 0.817, 0.750], [0.320, 0.160, 0.057], [0.320, 0.160, 0.443], [0.333, 0.667, 0.057], [0.333, 0.667, 0.443], [0.365, 0.183, 0.250], [0.488, 0.512, 0.157], [0.488, 0.512, 0.343], [0.488, 0.976, 0.157], [0.488, 0.976, 0.343], [0.512, 0.024, 0.657], [0.512, 0.024, 0.843], [0.512, 0.488, 0.657], [0.512, 0.488, 0.843], [0.635, 0.817, 0.750], [0.667, 0.333, 0.557], [0.667, 0.333, 0.943], [0.680, 0.840, 0.557], [0.680, 0.840, 0.943], [0.817, 0.183, 0.250], [0.817, 0.635, 0.250], [0.840, 0.160, 0.057], [0.840, 0.160, 0.443], [0.840, 0.680, 0.057], [0.840, 0.680, 0.443], [0.976, 0.488, 0.657], [0.976, 0.488, 0.843]]
}

| no. | total energy after the MP2020 corrections (eV/atom) | E (hartree per atom) | ΔE_f (eV/atom) |
| --- | --- | --- | --- |
| 1 | -10.040 | -0.344 | -3.033 |
| 2 | -8.107 | -0.273 | -2.504 |
| 3 | -6.472 | -0.222 | -2.086 |
| 4 | -7.999 | -0.259 | -2.183 |
| 5 | -8.495 | -0.277 | -2.668 |
| 6 | -6.735 | -0.222 | -2.156 |
| 7 | -7.015 | -0.243 | -1.444 |
| 8 | -8.053 | -0.250 | -1.784 |